Ni3Se4: relaxed, r²SCAN.

POSCAR file:
```
Ni3Se4
1.0
6.021 -1.814 0.000
6.021 1.814 0.000
-3.071 0.000 5.322
Ni Se
3 4
direct
0.000 0.000 0.000
0.259 0.259 0.278
0.741 0.741 0.722
0.121 0.121 0.456
0.365 0.365 0.024
0.635 0.635 0.976
0.879 0.879 0.544
```

Summary:
* symmetry: C2/m, No. 12
* ρ: 7.03 Mg/m³
* E_form: -0.3133 eV per atom



La5AsPb3: relaxed, r²SCAN.

POSCAR file:
```
La5AsPb3
1.0
9.677 0.000 0.000
-4.838 8.380 0.000
0.000 0.000 7.414
La As Pb
10 2 6
direct
0.000 0.241 0.250
0.000 0.759 0.750
0.241 0.000 0.250
0.241 0.241 0.750
0.333 0.667 0.000
0.333 0.667 0.500
0.667 0.333 0.000
0.667 0.333 0.500
0.759 0.000 0.750
0.759 0.759 0.250
0.000 0.000 0.000
0.000 0.000 0.500
0.000 0.401 0.750
0.000 0.599 0.250
0.401 0.000 0.750
0.401 0.401 0.250
0.599 0.000 0.250
0.599 0.599 0.750
```

Summary:
* symmetry: P6_3/mcm, No. 193
* ρ: 7.68 Mg/m³
* E_form: -1.0569 eV per atom



Ba2NbCrO6: relaxed, r²SCAN.

POSCAR file:
```
Ba2NbCrO6
1.0
5.782 0.000 0.000
-2.891 5.007 0.000
0.000 0.000 18.976
Ba Nb Cr O
8 4 4 24
direct
0.000 0.000 0.000
0.000 0.000 0.500
0.333 0.667 0.141
0.333 0.667 0.359
0.333 0.667 0.750
0.667 0.333 0.250
0.667 0.333 0.641
0.667 0.333 0.859
0.333 0.667 0.565
0.333 0.667 0.935
0.667 0.333 0.065
0.667 0.333 0.435
0.000 0.000 0.182
0.000 0.000 0.318
0.000 0.000 0.682
0.000 0.000 0.818
0.000 0.500 0.000
0.000 0.500 0.500
0.148 0.297 0.250
0.148 0.852 0.250
0.169 0.337 0.622
0.169 0.337 0.878
0.169 0.831 0.622
0.169 0.831 0.878
0.297 0.148 0.750
0.337 0.169 0.122
0.337 0.169 0.378
0.500 0.000 0.000
0.500 0.000 0.500
0.500 0.500 0.000
0.500 0.500 0.500
0.663 0.831 0.622
0.663 0.831 0.878
0.703 0.852 0.250
0.831 0.169 0.122
0.831 0.169 0.378
0.831 0.663 0.122
0.831 0.663 0.378
0.852 0.148 0.750
0.852 0.703 0.750
```

Summary:
* symmetry: P6_3/mmc, No. 194
* ρ: 6.23 Mg/m³
* E_form: -2.9605 eV per atom



CrSiTe3: relaxed, r²SCAN.

POSCAR file:
```
CrSiTe3
1.0
3.415 1.972 7.258
-3.415 1.972 7.258
0.000 -3.944 7.258
Cr Si Te
2 2 6
direct
0.166 0.166 0.166
0.834 0.834 0.834
0.448 0.448 0.448
0.552 0.552 0.552
0.060 0.779 0.422
0.221 0.578 0.940
0.422 0.060 0.779
0.578 0.940 0.221
0.779 0.422 0.060
0.940 0.221 0.578
```

Summary:
* symmetry: R-3, No. 148
* ρ: 5.24 Mg/m³
* E_form: -0.3343 eV per atom